## one
The following is a GGA+U calculation of an optimized crystal structure of MgMn6O10F2, from Materials Project.

Cell lengths 5.090, 7.760, 5.599 Å; angles 98.70, 96.81, 83.37 degrees
Fractional coordinates of all 19 atoms:
Mn  0.518  0.672  0.156
Mn  0.482  0.004  0.519
Mn  0.010  0.017  0.965
Mn  0.000  0.338  0.338
Mn  0.500  0.338  0.838
Mn  0.990  0.659  0.710
F  0.837  0.079  0.289
F  0.163  0.597  0.386
O  0.851  0.450  0.638
O  0.679  0.436  0.145
O  0.845  0.780  0.981
O  0.683  0.103  0.809
O  0.317  0.573  0.866
O  0.693  0.773  0.473
O  0.155  0.896  0.694
O  0.149  0.226  0.038
O  0.307  0.903  0.202
O  0.321  0.240  0.530
Mg  0.000  0.838  0.337

space-group type: P-1

=====

## two
The following is a GGA+U calculation of an optimized crystal structure of MgMn6O10F2, from Materials Project.

Cell lengths 5.102, 7.527, 5.742 Å; angles 98.28, 99.53, 84.26 degrees
Fractional coordinates of all 19 atoms:
O  0.658  0.077  0.805
O  0.678  0.419  0.143
O  0.641  0.760  0.509
O  0.353  0.900  0.160
O  0.348  0.581  0.858
O  0.869  0.421  0.612
O  0.865  0.095  0.289
O  0.348  0.246  0.504
O  0.141  0.226  0.036
O  0.113  0.893  0.711
Mn  0.470  0.643  0.204
Mn  0.561  0.021  0.449
Mn  0.507  0.330  0.827
Mn  0.993  0.652  0.668
Mn  0.006  0.008  0.999
Mn  0.001  0.320  0.329
Mg  0.487  0.837  0.826
F  0.151  0.560  0.339
F  0.838  0.770  0.004

space-group type: P1

=====

Which of them is most stable? Easy: two.

=====

## one
The following is a GGA+U calculation of an optimized crystal structure of MgMn6O10F2, from Materials Project.

Cell lengths 5.053, 5.082, 8.716 Å; angles 91.02, 89.29, 100.36 degrees
Fractional coordinates of all 19 atoms:
F  0.879  0.209  0.503
F  0.869  0.169  0.840
O  0.336  0.286  0.001
O  0.870  0.179  0.175
O  0.157  0.791  0.843
O  0.140  0.805  0.171
O  0.149  0.803  0.502
O  0.346  0.279  0.663
O  0.355  0.256  0.342
O  0.649  0.746  0.343
O  0.680  0.709  0.005
O  0.622  0.756  0.659
Mn  0.014  0.986  0.012
Mn  0.013  0.963  0.680
Mn  0.007  0.989  0.325
Mn  0.430  0.531  0.501
Mn  0.449  0.542  0.838
Mn  0.537  0.478  0.168
Mg  0.511  0.037  0.507

space-group type: P1

=====

## two
The following is a GGA+U calculation of an optimized crystal structure of MgMn6O10F2, from Materials Project.

Cell lengths 8.233, 5.747, 5.863 Å; angles 66.06, 62.62, 64.14 degrees
Fractional coordinates of all 19 atoms:
O  0.634  0.642  0.031
O  0.393  0.410  0.495
O  0.036  0.698  0.306
O  0.603  0.595  0.529
O  0.963  0.303  0.681
O  0.302  0.946  0.330
O  0.345  0.394  0.000
O  0.701  0.048  0.660
O  0.938  0.253  0.185
O  0.056  0.751  0.801
Mg  0.333  0.654  0.172
Mn  0.331  0.664  0.660
Mn  0.524  0.027  0.016
Mn  0.860  0.675  0.685
Mn  0.984  0.006  0.991
Mn  0.108  0.318  0.311
Mn  0.668  0.347  0.358
F  0.302  0.919  0.840
F  0.680  0.099  0.174

space-group type: P1

=====

## three
The following is a GGA+U calculation of an optimized crystal structure of MgMn6O10F2, from Materials Project.

Cell lengths 5.110, 7.580, 5.633 Å; angles 97.82, 97.26, 84.59 degrees
Fractional coordinates of all 19 atoms:
O  0.301  0.906  0.206
O  0.858  0.764  0.947
O  0.852  0.453  0.656
O  0.128  0.235  0.076
O  0.686  0.099  0.814
O  0.160  0.910  0.715
O  0.698  0.449  0.139
O  0.315  0.237  0.550
O  0.317  0.575  0.860
O  0.683  0.771  0.468
Mn  0.477  0.997  0.523
Mn  0.528  0.694  0.144
Mn  0.530  0.341  0.823
Mn  0.996  0.691  0.651
Mn  0.005  0.002  0.998
Mn  0.981  0.316  0.378
Mg  0.026  0.491  0.005
F  0.810  0.075  0.291
F  0.161  0.582  0.355

space-group type: P1

=====

Which of them is most stable? Easy: two.

=====

## one
The following is a GGA+U calculation of an optimized crystal structure of MgMn6O10F2, from Materials Project.

Cell lengths 8.144, 5.693, 5.899 Å; angles 67.83, 63.97, 65.91 degrees
Fractional coordinates of all 19 atoms:
Mn  0.801  0.651  0.658
Mn  0.482  0.007  0.002
Mn  0.347  0.662  0.658
Mn  0.649  0.306  0.346
Mn  0.199  0.354  0.353
Mn  0.993  0.046  0.010
O  0.655  0.635  0.028
O  0.338  0.374  0.981
O  0.000  0.322  0.702
O  0.637  0.553  0.518
O  0.730  0.078  0.117
O  0.333  0.980  0.366
O  0.925  0.257  0.224
O  0.654  0.019  0.644
O  0.378  0.434  0.459
O  0.996  0.702  0.307
F  0.280  0.915  0.889
F  0.034  0.783  0.814
Mg  0.837  0.661  0.152

space-group type: P1

=====

## two
The following is a GGA+U calculation of an optimized crystal structure of MgMn6O10F2, from Materials Project.

Cell lengths 4.961, 14.123, 2.976 Å; angles 91.20, 90.67, 89.44 degrees
Fractional coordinates of all 19 atoms:
O  0.717  0.569  0.001
O  0.317  0.744  0.021
O  0.221  0.584  0.501
O  0.767  0.077  0.546
O  0.309  0.094  0.072
O  0.869  0.412  0.485
O  0.189  0.275  0.476
O  0.581  0.902  0.043
O  0.385  0.434  0.986
O  0.091  0.937  0.546
Mn  0.483  0.184  0.490
Mn  0.045  0.645  0.008
Mn  0.467  0.810  0.531
Mn  0.058  0.353  0.981
Mn  0.556  0.499  0.493
Mn  0.943  0.008  0.050
F  0.850  0.724  0.520
F  0.686  0.251  0.959
Mg  0.439  0.998  0.561

space-group type: P1

=====

Which of them is most stable? Easy: one.

=====

## one
The following is a GGA+U calculation of an optimized crystal structure of MgMn6O10F2, from Materials Project.

Cell lengths 8.121, 5.718, 5.898 Å; angles 66.91, 63.21, 65.28 degrees
Fractional coordinates of all 19 atoms:
Mn  0.118  0.306  0.316
Mn  0.541  0.033  0.022
Mn  0.975  0.022  0.003
Mn  0.809  0.668  0.657
Mn  0.347  0.658  0.659
Mn  0.670  0.336  0.349
Mg  0.327  0.666  0.179
F  0.278  0.928  0.859
F  0.056  0.753  0.798
O  0.350  0.394  0.005
O  0.393  0.413  0.490
O  0.707  0.098  0.155
O  0.966  0.298  0.688
O  0.615  0.587  0.538
O  0.695  0.043  0.652
O  0.628  0.648  0.030
O  0.314  0.948  0.337
O  0.946  0.252  0.188
O  0.022  0.699  0.303

space-group type: P1

=====

## two
The following is a GGA+U calculation of an optimized crystal structure of MgMn6O10F2, from Materials Project.

Cell lengths 5.144, 7.486, 5.769 Å; angles 98.63, 80.81, 95.67 degrees
Fractional coordinates of all 19 atoms:
Mn  0.969  0.020  0.986
Mn  0.518  0.333  0.848
Mn  0.898  0.700  0.624
Mn  0.522  0.675  0.159
Mn  0.068  0.285  0.406
Mn  0.495  0.008  0.522
F  0.148  0.581  0.319
F  0.354  0.910  0.208
O  0.646  0.446  0.141
O  0.370  0.246  0.565
O  0.813  0.096  0.311
O  0.846  0.757  0.988
O  0.153  0.922  0.683
O  0.620  0.770  0.458
O  0.391  0.571  0.875
O  0.649  0.096  0.800
O  0.864  0.425  0.678
O  0.172  0.258  0.044
Mg  0.018  0.499  0.994

space-group type: P1

=====

## three
The following is a GGA+U calculation of an optimized crystal structure of MgMn6O10F2, from Materials Project.

Cell lengths 4.998, 5.076, 8.780 Å; angles 89.11, 91.44, 100.47 degrees
Fractional coordinates of all 19 atoms:
Mg  0.494  0.966  0.318
O  0.276  0.334  0.999
O  0.804  0.142  0.482
O  0.326  0.293  0.330
O  0.170  0.861  0.837
O  0.285  0.327  0.660
O  0.711  0.682  0.329
O  0.703  0.686  0.668
O  0.799  0.156  0.173
O  0.697  0.698  0.995
O  0.178  0.861  0.167
F  0.803  0.172  0.848
F  0.214  0.832  0.474
Mn  0.992  0.005  0.666
Mn  0.456  0.543  0.828
Mn  0.999  0.014  0.323
Mn  0.546  0.459  0.508
Mn  0.004  0.002  0.999
Mn  0.542  0.467  0.153

space-group type: P1

=====

Which of them is most stable? Easy: one.